Below is a geometry-optimized NaSrCeMnO6 structure, with properties calculated at the GGA+U level.

Formation enthalpy at 0 K (kcal/mol of atoms): -59.51
Crystal system: cubic
Space group: No. 216

```
NaSrCeMnO6
1.0
-1.416 -3.458 -4.455
-5.592 -0.930 -1.296
-2.281 2.279 -4.839
O Sr Na Ce Mn
6 1 1 1 1
Cartesian
-3.143 -2.173 -4.904
-3.545 0.496 -5.083
-6.147 0.064 -5.685
-5.086 -0.997 -3.434
-4.204 -1.113 -7.156
-5.744 -2.606 -5.507
-6.967 -1.582 -7.942
-2.322 -0.527 -2.647
0.000 0.000 0.000
-4.645 -1.055 -5.295
```



Below is a geometry-optimized CeMnO3 structure, with properties calculated at the GGA+U level.

Formation enthalpy at 0 K (kcal/mol of atoms): -64.40
Crystal system: cubic
Space group: No. 221

```
CeMnO3
1.0
3.923 0.000 0.000
0.000 3.923 0.000
0.000 0.000 3.923
O Mn Ce
3 1 1
Cartesian
1.961 0.000 1.961
0.000 1.961 1.961
1.961 1.961 0.000
1.961 1.961 1.961
0.000 0.000 0.000
```



Below is a geometry-optimized CeMnSbO structure, with properties calculated at the GGA+U level.

Formation enthalpy at 0 K (kcal/mol of atoms): -39.89
Crystal system: tetragonal
Space group: No. 129

```
CeMnSbO
1.0
4.202 0.000 0.000
0.000 4.202 0.000
0.000 0.000 9.500
O Sb Ce Mn
2 2 2 2
Cartesian
0.000 0.000 0.000
2.101 2.101 0.000
0.000 2.101 2.862
2.101 0.000 6.638
2.101 0.000 1.135
0.000 2.101 8.366
0.000 0.000 4.750
2.101 2.101 4.750
```



Below is a geometry-optimized Ce2Mn2Se2O3 structure, with properties calculated at the GGA+U level.

Formation enthalpy at 0 K (kcal/mol of atoms): -53.71
Crystal system: tetragonal
Space group: No. 139

```
Ce2Mn2Se2O3
1.0
-2.076 2.076 9.456
2.076 -2.076 9.456
2.076 2.076 -9.456
Ce Se Mn O
2 2 2 3
Cartesian
0.000 0.000 13.024
0.000 0.000 5.888
0.000 0.000 1.931
0.000 0.000 16.981
0.000 2.076 0.000
2.076 0.000 0.000
0.000 0.000 9.456
2.076 0.000 4.728
0.000 2.076 4.728
```



Below is a geometry-optimized Ce4MnSe6O structure, with properties calculated at the GGA+U level.

Formation enthalpy at 0 K (kcal/mol of atoms): -44.03
Crystal system: hexagonal
Space group: No. 186

```
Ce4MnSe6O
1.0
-1.332 4.622 -8.383
-7.414 -1.214 6.080
1.566 6.138 3.135
Se Ce O Mn
12 8 2 2
Cartesian
-7.049 3.988 -0.118
-6.123 6.834 4.741
-0.916 8.551 -4.148
-0.446 5.109 -2.684
-4.044 6.511 -3.631
-5.489 7.802 -0.397
-6.227 1.137 5.053
-3.496 4.610 -0.182
-2.524 5.432 5.688
-3.072 7.334 2.239
-0.094 5.700 1.023
-1.654 1.886 1.303
-5.058 2.020 1.917
-2.310 4.421 -4.967
-2.248 7.034 -1.336
-2.227 4.487 2.828
-1.784 2.595 -1.657
-5.238 3.941 -2.566
-5.155 4.008 5.229
-5.681 5.833 1.918
-3.283 2.975 -3.409
-4.527 4.099 2.979
1.559 6.113 3.122
0.777 3.044 1.555
```



Below is a geometry-optimized Sr4CeMn5O15 structure, with properties calculated at the GGA+U level.

Formation enthalpy at 0 K (kcal/mol of atoms): -60.12
Crystal system: monoclinic
Space group: No. 12

```
Sr4CeMn5O15
1.0
-1.529 -7.747 3.700
1.745 -4.840 7.041
-5.173 1.059 4.148
O Sr Mn Ce
15 4 5 1
Cartesian
-1.714 -1.890 5.595
-4.138 -2.889 6.570
-3.142 -0.562 3.568
-4.429 -5.700 6.952
0.108 -6.293 5.371
-1.815 -10.966 11.322
-0.819 -8.638 8.320
-3.690 -6.336 11.490
-3.351 -3.344 3.924
-1.267 -5.192 3.400
-2.735 -4.195 8.681
-0.527 -5.828 7.938
-2.222 -7.332 6.209
0.435 -3.681 5.137
-5.392 -7.847 9.753
-0.993 -2.288 2.964
-2.986 -6.924 8.952
-3.964 -9.240 11.926
-1.971 -4.604 5.938
-1.387 -9.744 9.839
-3.570 -1.783 5.051
-2.586 0.530 2.074
-4.568 -4.081 8.028
-0.389 -7.447 6.861
0.000 0.000 0.000
```



Below is a geometry-optimized Sr2CeMn3O9 structure, with properties calculated at the GGA+U level.

Formation enthalpy at 0 K (kcal/mol of atoms): -62.31
Crystal system: monoclinic
Space group: No. 12

```
Sr2CeMn3O9
1.0
2.068 -2.315 4.584
2.386 -4.989 -0.246
12.074 5.683 -2.351
Sr Ce O Mn
4 2 18 6
Cartesian
10.768 -2.749 2.231
4.704 -5.650 3.438
5.759 1.127 -0.245
11.824 4.029 -1.452
5.343 -2.342 1.649
11.184 0.720 0.338
6.634 -0.333 2.130
3.084 -1.978 1.298
9.407 4.227 -1.721
6.249 -3.096 3.636
10.126 2.750 0.654
3.543 -3.341 3.650
9.894 -1.289 -0.144
6.785 -1.608 -0.172
10.278 1.475 -1.649
6.401 -4.371 1.333
9.742 -0.014 2.159
8.301 -2.539 1.953
8.227 0.918 0.034
13.444 0.357 0.688
7.120 -5.848 3.707
12.985 1.720 -1.664
3.700 -4.665 1.260
12.827 3.043 0.727
2.737 -0.280 0.335
8.264 -0.811 0.993
2.227 -3.652 2.169
7.729 -4.199 2.834
13.791 -1.342 1.651
8.798 2.577 -0.847
```



Below is a geometry-optimized NaCeMo2O8 structure, with properties calculated at the GGA+U level.

Formation enthalpy at 0 K (kcal/mol of atoms): -57.41
Crystal system: tetragonal
Space group: No. 82

```
NaCeMo2O8
1.0
4.624 2.672 4.446
2.819 5.964 -2.186
-6.505 -2.370 0.594
O Ce Mo Na
8 1 2 1
Cartesian
3.922 6.289 2.586
1.822 3.817 -0.347
-1.372 1.487 3.777
1.491 4.643 2.288
-1.785 0.194 0.193
3.540 6.207 -0.548
-0.582 2.765 0.999
-3.287 -0.339 2.472
3.721 4.318 1.130
0.018 3.956 -0.231
0.000 0.000 0.000
0.920 2.310 3.085
```



Below is a geometry-optimized CeMo5O8 structure, with properties calculated at the GGA+U level.

Formation enthalpy at 0 K (kcal/mol of atoms): -41.62
Crystal system: monoclinic
Space group: No. 14

```
CeMo5O8
1.0
-6.991 4.523 -4.341
-0.343 -6.130 -5.834
-6.890 -7.772 2.997
O Mo Ce
32 20 4
Cartesian
-8.774 -2.790 -4.109
-9.269 -1.270 -1.582
-2.072 -2.660 -4.610
-4.554 -1.319 -4.167
-5.518 -5.620 -7.106
-9.670 -8.059 -3.012
-4.450 -3.580 -2.394
-11.009 -4.065 -2.222
-7.378 -7.801 -0.574
-1.221 -3.610 -1.994
-2.325 -0.922 -1.793
-8.108 -4.794 -6.670
-8.366 -12.016 -4.078
-6.199 -4.056 -4.598
-13.002 -5.768 -5.186
-8.705 -3.759 -0.073
-12.152 -6.719 -2.569
-4.524 -7.454 -0.511
-4.954 -8.109 -5.598
-5.858 2.638 -3.101
-8.025 -5.323 -2.581
-6.846 -1.578 -6.605
-5.481 -11.759 -3.445
-9.774 -5.798 -4.786
-6.990 -8.985 -3.664
-7.233 -0.393 -3.515
-8.743 2.380 -3.734
-3.215 -5.314 -4.957
-6.115 -4.585 -0.509
-9.699 -1.925 -6.668
-5.450 -6.589 -3.071
-11.898 -8.456 -5.386
-9.736 -3.869 -5.674
-5.418 -9.967 -4.640
-3.650 -7.215 -4.156
-10.574 -2.164 -3.023
-9.369 -8.466 -0.899
-4.854 -0.912 -6.280
-8.858 -9.959 -3.753
-4.124 -3.444 -4.440
-3.417 -5.147 -7.035
-5.365 0.581 -3.426
-5.907 -8.405 -1.910
-11.196 -6.639 -6.173
-4.488 -5.510 -1.505
-10.100 -5.934 -2.739
-3.027 -2.739 -1.006
-7.884 -5.711 -0.384
-10.807 -4.232 -0.144
-8.806 0.588 -2.539
-8.316 -0.973 -5.269
-6.340 -3.667 -6.795
-7.069 -6.198 -4.744
-13.759 -5.021 -2.900
-0.464 -4.357 -4.280
-7.155 -3.180 -2.436
```



For each record above, in turn, the calculated total magnetic moment values are 2.0; 5.0; 5.3; 12.0; 9.0; 17.0; 11.0; 1.0; 16.0 μB/f.u..
For each record above, in turn, the calculated VASP energy values are -0.249; -0.295; -0.264; -0.276; -0.243; -0.264; -0.271; -0.265; -0.272 hartree per atom.